DFT (GGA+U) results for a relaxed structure of LaNiO3.

Cell and atoms, written as extended XYZ:
```
10
Lattice="2.7803 1.6052 4.3922 -2.7803 1.6052 4.3922 0.0000 -3.2105 4.3922" Properties=species:S:1:pos:R:3 pbc="T T T"
La 0.0000 0.0000 3.2941
La 0.0000 0.0000 9.8824
Ni 0.0000 0.0000 0.0000
Ni 0.0000 0.0000 6.5883
O -1.5666 0.4971 5.4902
O -1.2138 -1.1081 7.6863
O 0.3528 -1.6052 5.4902
O -0.3528 1.6052 7.6863
O 1.2138 1.1081 5.4902
O 1.5666 -0.4971 7.6863
```

SG: R-3c
Corrected total energy (MP2020 scheme), eV/atom: -7.58
Formation energy, eV per atom: -2.472
VASP energy, eV per cell: -66.6

***

DFT (GGA+U) results for a relaxed structure of CaNdCrO4.

Cell and atoms, written as extended XYZ:
```
7
Lattice="-1.9364 1.9364 6.0285 1.9364 -1.9364 6.0285 1.9364 1.9364 -6.0285" Properties=species:S:1:pos:R:3 pbc="T T T"
Ca 0.0000 0.0000 0.0000
Nd 0.0000 0.0000 8.6502
Cr 0.0000 0.0000 4.3736
O 0.0000 0.0000 2.2657
O 1.9364 0.0000 4.2636
O 0.0000 0.0000 6.3822
O 0.0000 1.9364 4.2636
```

SG: I4mm
Corrected total energy (MP2020 scheme), eV/atom: -8.30
Formation energy, eV per atom: -3.126
ΔE to the lowest computed polymorph, eV/atom: 0.022
VASP energy, eV per cell: -53.4